VASP calculation (PBE-GGA) on Na6Ti2Zn2Si3S3O24 after structural relaxation.

Cell: 8.9678 8.9758 22.0990 Å, 89.84 91.08 119.46°
Element x y z (fractional)
Na 0.3722 0.3547 0.2459
Na 0.9958 0.6327 0.2418
Na 0.9868 0.3552 0.7459
Na 0.3801 0.0236 0.7465
Na 0.2986 0.3374 0.5807
Na 0.6567 0.9722 0.5890
Na 0.3054 0.9574 0.0744
Na 0.6568 0.6876 0.0823
Na 0.9823 0.6810 0.9170
Na 0.3200 0.2864 0.9091
Na 0.9817 0.3014 0.4230
Na 0.3248 0.0384 0.4139
Na 0.0037 0.9929 0.5021
Na 0.0000 0.0100 0.9927
Na 0.6577 0.3204 0.8252
Na 0.6539 0.3261 0.3306
Na 0.3219 0.6574 0.1583
Na 0.3219 0.6643 0.6608
Ti 0.0060 0.0276 0.6479
Ti 0.0225 0.9954 0.1416
Ti 0.6492 0.3244 0.9833
Ti 0.6460 0.3281 0.4891
Ti 0.3434 0.6702 0.3154
Ti 0.3563 0.6888 0.8077
Zn 0.0209 0.0141 0.3479
Zn 0.0186 0.0123 0.8442
Zn 0.6581 0.3138 0.6844
Zn 0.6565 0.3267 0.1781
Zn 0.3046 0.6552 0.0181
Zn 0.3059 0.6486 0.5220
Si 0.3077 0.0010 0.2523
Si 0.3061 0.3068 0.7535
Si 0.7173 0.0010 0.7516
Si 0.9549 0.3380 0.5865
Si 0.3589 0.0236 0.5858
Si 0.9538 0.6141 0.0874
Si 0.3701 0.3413 0.0850
Si 0.3348 0.9592 0.9185
Si 0.3387 0.3754 0.4190
S 0.7091 0.7169 0.2517
S 0.9991 0.2912 0.2514
S 0.0009 0.7096 0.7517
S 0.6744 0.6289 0.5846
S 0.6749 0.0445 0.0841
S 0.6254 0.6660 0.9185
S 0.0342 0.3723 0.9166
S 0.6292 0.9593 0.4171
S 0.0369 0.6645 0.4143
O 0.2213 0.0313 0.3106
O 0.8138 0.8056 0.3052
O 0.9775 0.1973 0.3085
O 0.2349 0.1885 0.8124
O 0.9819 0.7800 0.8093
O 0.8319 0.0256 0.8101
O 0.8029 0.9699 0.6890
O 0.1657 0.2063 0.6933
O 0.0296 0.8251 0.6997
O 0.7835 0.8136 0.1952
O 0.0227 0.2011 0.1993
O 0.1701 0.9658 0.1919
O 0.8727 0.3616 0.6461
O 0.4773 0.1052 0.6446
O 0.6472 0.5224 0.6380
O 0.8719 0.5168 0.1491
O 0.6436 0.1175 0.1385
O 0.4771 0.3716 0.1471
O 0.4636 0.2946 0.0271
O 0.8256 0.5215 0.0271
O 0.6965 0.1543 0.0299
O 0.4598 0.1672 0.5262
O 0.6904 0.5350 0.5289
O 0.8279 0.3078 0.5239
O 0.5507 0.6859 0.9737
O 0.1451 0.4498 0.9706
O 0.3084 0.8496 0.9788
O 0.5545 0.8640 0.4717
O 0.3067 0.4655 0.4754
O 0.1485 0.7000 0.4678
O 0.1252 0.6408 0.3593
O 0.5089 0.8677 0.3626
O 0.3573 0.5014 0.3578
O 0.1135 0.4786 0.8619
O 0.3576 0.8582 0.8585
O 0.5109 0.6388 0.8643
O 0.0105 0.8133 0.4074
O 0.8013 0.9835 0.4077
O 0.1675 0.1846 0.4138
O 0.0129 0.1992 0.9129
O 0.1654 0.9842 0.9138
O 0.8002 0.8083 0.9119
O 0.9584 0.1491 0.5862
O 0.1750 0.0226 0.5882
O 0.8317 0.7970 0.5851
O 0.9590 0.8112 0.0906
O 0.8331 0.0292 0.0891
O 0.1821 0.1561 0.0897
O 0.6862 0.1634 0.7492
O 0.4910 0.3287 0.7421
O 0.8563 0.5363 0.7449
O 0.6896 0.5427 0.2503
O 0.8554 0.3245 0.2458
O 0.4912 0.1700 0.2444
O 0.6344 0.4983 0.9203
O 0.8647 0.3678 0.9228
O 0.5107 0.1555 0.9242
O 0.6384 0.1324 0.4171
O 0.5125 0.3528 0.4204
O 0.8718 0.5012 0.4178
O 0.3627 0.5136 0.0734
O 0.1527 0.6690 0.0840
O 0.5268 0.8706 0.0768
O 0.3636 0.8505 0.5715
O 0.5233 0.6515 0.5761
O 0.1526 0.4834 0.5828
O 0.3037 0.8129 0.2582
O 0.5290 0.6941 0.2553
O 0.1651 0.4659 0.2545
O 0.2952 0.4860 0.7600
O 0.1658 0.6958 0.7546
O 0.5183 0.8255 0.7550

**Energy with MP2020 corrections**: -0.500 Ry per atom

VASP calculation (PBE-GGA) on Cs2KCrC6N6 after structural relaxation.

Cell: 8.4280 7.8366 13.7765 Å, 56.00 90.00 90.00°
Element x y z (fractional)
Cs 0.0771 0.2784 0.2475
Cs 0.4229 0.2784 0.7475
Cs 0.9229 0.7216 0.7525
Cs 0.5771 0.7216 0.2525
K 0.0000 0.5000 0.5000
K 0.5000 0.5000 0.0000
Cr 0.5000 0.0000 0.5000
Cr 0.0000 0.0000 0.0000
C 0.3718 0.2502 0.4639
C 0.1282 0.2502 0.9639
C 0.6282 0.7498 0.5361
C 0.8718 0.7498 0.0361
C 0.7038 0.1715 0.4538
C 0.7962 0.1715 0.9538
C 0.2962 0.8285 0.5462
C 0.2038 0.8285 0.0462
C 0.4721 0.0875 0.3307
C 0.0279 0.0875 0.8307
C 0.5279 0.9125 0.6693
C 0.9721 0.9125 0.1693
N 0.2983 0.3953 0.4421
N 0.2017 0.3953 0.9421
N 0.7017 0.6047 0.5579
N 0.7983 0.6047 0.0579
N 0.8193 0.2730 0.4256
N 0.6807 0.2730 0.9256
N 0.1807 0.7270 0.5744
N 0.3193 0.7270 0.0744
N 0.4532 0.1383 0.2334
N 0.0468 0.1383 0.7334
N 0.5468 0.8617 0.7666
N 0.9532 0.8617 0.2666

**Energy with MP2020 corrections**: -0.563 Ry per atom

VASP calculation (PBE-GGA) on MgTi3CuO8 after structural relaxation.

Cell: 3.7930 3.9765 10.0018 Å, 90.00 90.00 90.00°
Element x y z (fractional)
Mg 0.5000 0.5000 0.9437
Ti 0.0000 0.0000 0.0181
Ti 0.0000 0.5000 0.2628
Ti 0.5000 0.0000 0.7258
Cu 0.5000 0.5000 0.4963
O 0.0000 0.0000 0.2014
O 0.5000 0.5000 0.7490
O 0.0000 0.5000 0.4428
O 0.5000 0.0000 0.9799
O 0.5000 0.0000 0.5479
O 0.0000 0.5000 0.0170
O 0.5000 0.5000 0.2355
O 0.0000 0.0000 0.8035

**Energy relative to the lowest polymorph listed for this composition**: 47.3 meV/atom
**Energy with MP2020 corrections**: -0.600 Ry per atom

VASP calculation (PBE-GGA) on ErSnAu after structural relaxation.

Cell: 4.7404 4.7404 4.7404 Å, 60.00 60.00 60.00°
Element x y z (fractional)
Er 0.5000 0.5000 0.5000
Sn 0.0000 0.0000 0.0000
Au 0.2500 0.2500 0.2500

VASP calculation (PBE-GGA) on KSmTiO4 after structural relaxation.

Cell: 5.4216 5.5052 13.2376 Å, 90.00 90.00 90.00°
Element x y z (fractional)
K 0.2500 0.4837 0.5933
K 0.7500 0.5163 0.4067
K 0.2500 0.9837 0.4067
K 0.7500 0.0163 0.5933
Sm 0.2500 0.9778 0.1034
Sm 0.7500 0.0222 0.8966
Sm 0.2500 0.4778 0.8966
Sm 0.7500 0.5222 0.1034
Ti 0.2500 0.4940 0.2515
Ti 0.7500 0.5060 0.7485
Ti 0.2500 0.9940 0.7485
Ti 0.7500 0.0060 0.2515
O 0.2500 0.5606 0.0640
O 0.7500 0.4394 0.9360
O 0.2500 0.0606 0.9360
O 0.7500 0.9394 0.0640
O 0.2500 0.9724 0.6159
O 0.7500 0.0276 0.3841
O 0.2500 0.4724 0.3841
O 0.7500 0.5276 0.6159
O 0.0000 0.7500 0.2306
O 0.0000 0.2500 0.7694
O 0.5000 0.2500 0.7694
O 0.5000 0.7500 0.2306
O 0.0000 0.7500 0.7903
O 0.0000 0.2500 0.2097
O 0.5000 0.2500 0.2097
O 0.5000 0.7500 0.7903

**Energy with MP2020 corrections**: -0.600 Ry per atom

VASP calculation (PBE-GGA) on BaSrTbCeO6 after structural relaxation.

Cell: 8.7773 8.7735 8.7717 Å, 90.00 90.00 90.00°
Element x y z (fractional)
Ba 0.0000 0.0000 0.0000
Ba 0.5000 0.5000 0.5000
Ba 0.5000 0.0000 0.5000
Ba 0.5000 0.5000 0.0000
Sr 0.0000 0.5000 0.5000
Sr 0.5000 0.0000 0.0000
Sr 0.0000 0.5000 0.0000
Sr 0.0000 0.0000 0.5000
Tb 0.2466 0.2498 0.2489
Tb 0.7534 0.7502 0.2489
Tb 0.7534 0.2498 0.7511
Tb 0.2466 0.7502 0.7511
Ce 0.7533 0.7507 0.7496
Ce 0.2467 0.2493 0.7496
Ce 0.2467 0.7507 0.2504
Ce 0.7533 0.2493 0.2504
O 0.9975 0.2021 0.2899
O 0.0025 0.7979 0.2899
O 0.0025 0.2021 0.7101
O 0.9975 0.7979 0.7101
O 0.2869 0.9977 0.2037
O 0.2869 0.0023 0.7963
O 0.7131 0.0023 0.2037
O 0.7131 0.9977 0.7963
O 0.2033 0.2908 0.9971
O 0.7967 0.2908 0.0029
O 0.2033 0.7092 0.0029
O 0.7967 0.7092 0.9971
O 0.5027 0.2829 0.2228
O 0.4973 0.7171 0.2228
O 0.4973 0.2829 0.7772
O 0.5027 0.7171 0.7772
O 0.2099 0.5023 0.2919
O 0.2099 0.4977 0.7081
O 0.7901 0.4977 0.2919
O 0.7901 0.5023 0.7081
O 0.2813 0.2195 0.5022
O 0.7187 0.2195 0.4978
O 0.2813 0.7805 0.4978
O 0.7187 0.7805 0.5022

**Energy relative to the lowest polymorph listed for this composition**: 9.4 meV/atom
**Energy with MP2020 corrections**: -0.569 Ry per atom

VASP calculation (PBE-GGA) on Na7Mg3TaP6O24 after structural relaxation.

Cell: 9.0137 9.0018 22.0253 Å, 90.05 90.10 119.96°
Element x y z (fractional)
Na 0.6356 0.9994 0.2480
Na 0.3635 0.3642 0.2480
Na 0.0006 0.6365 0.2481
Na 0.6569 0.6400 0.7464
Na 0.9877 0.3479 0.7462
Na 0.2936 0.3350 0.5875
Na 0.0405 0.7068 0.5875
Na 0.6658 0.9608 0.5876
Na 0.2928 0.9587 0.0889
Na 0.6644 0.7061 0.0892
Na 0.0427 0.3340 0.0898
Na 0.3182 0.2956 0.9103
Na 0.9847 0.3024 0.4022
Na 0.3175 0.0148 0.4025
Na 0.6980 0.6823 0.4022
Na 0.0001 0.9999 0.4985
Na 0.9842 0.9851 0.9957
Na 0.6634 0.3171 0.8254
Na 0.6669 0.3335 0.3197
Na 0.3334 0.6665 0.1710
Na 0.3349 0.6825 0.6623
Mg 0.0003 0.9999 0.3454
Mg 0.9953 0.9939 0.8508
Mg 0.0024 0.9986 0.6526
Mg 0.0000 0.9995 0.1513
Mg 0.6607 0.3272 0.6866
Mg 0.6668 0.3335 0.1840
Mg 0.3343 0.6689 0.0178
Mg 0.3333 0.6669 0.5162
Mg 0.3332 0.6666 0.3160
Ta 0.6710 0.3343 0.9783
Ta 0.6659 0.3327 0.4821
Ta 0.3332 0.6734 0.8158
P 0.2978 0.9985 0.2497
P 0.7006 0.7022 0.2497
P 0.0015 0.2992 0.2497
P 0.2974 0.2987 0.7522
P 0.0017 0.7056 0.7487
P 0.7057 0.9993 0.7494
P 0.9629 0.3352 0.5865
P 0.3733 0.0383 0.5850
P 0.6652 0.6285 0.5864
P 0.9612 0.6262 0.0848
P 0.6651 0.0393 0.0847
P 0.3745 0.3345 0.0833
P 0.6295 0.6691 0.9199
P 0.0400 0.3730 0.9193
P 0.3316 0.9622 0.9216
P 0.6299 0.9630 0.4191
P 0.3336 0.3705 0.4191
P 0.0364 0.6663 0.4192
O 0.2129 0.0212 0.3073
O 0.8085 0.7871 0.3074
O 0.9791 0.1914 0.3073
O 0.2110 0.1979 0.8092
O 0.9756 0.7980 0.8012
O 0.8230 0.0234 0.8023
O 0.7659 0.9526 0.6900
O 0.1865 0.2270 0.6942
O 0.0336 0.8012 0.6880
O 0.7866 0.8117 0.1927
O 0.0248 0.2131 0.1926
O 0.1884 0.9750 0.1925
O 0.8776 0.3574 0.6424
O 0.4895 0.1293 0.6380
O 0.6451 0.5216 0.6424
O 0.8782 0.5193 0.1412
O 0.6422 0.1223 0.1414
O 0.4834 0.3575 0.1392
O 0.4773 0.3208 0.0252
O 0.8399 0.5197 0.0281
O 0.6789 0.1609 0.0283
O 0.4721 0.1510 0.5258
O 0.6766 0.5218 0.5293
O 0.8439 0.3210 0.5293
O 0.5432 0.6797 0.9771
O 0.1445 0.4582 0.9756
O 0.3173 0.8661 0.9791
O 0.5483 0.8597 0.4766
O 0.3118 0.4519 0.4767
O 0.1400 0.6884 0.4767
O 0.1105 0.6267 0.3629
O 0.5159 0.8884 0.3628
O 0.3722 0.4842 0.3629
O 0.1343 0.4924 0.8623
O 0.3528 0.8611 0.8659
O 0.5046 0.6403 0.8636
O 0.0061 0.8199 0.4131
O 0.8135 0.9934 0.4132
O 0.1807 0.1865 0.4131
O 0.0193 0.1963 0.9102
O 0.1846 0.9969 0.9117
O 0.8074 0.8180 0.9105
O 0.9706 0.1678 0.5843
O 0.1992 0.0323 0.5841
O 0.8323 0.8029 0.5832
O 0.9675 0.8003 0.0826
O 0.8322 0.0320 0.0822
O 0.1999 0.1674 0.0815
O 0.6820 0.1558 0.7446
O 0.4835 0.3383 0.7474
O 0.8495 0.5188 0.7464
O 0.6812 0.5207 0.2459
O 0.8396 0.3186 0.2461
O 0.4787 0.1607 0.2460
O 0.6320 0.4915 0.9201
O 0.8582 0.3606 0.9211
O 0.5037 0.1448 0.9207
O 0.6523 0.1518 0.4252
O 0.5011 0.3503 0.4252
O 0.8483 0.4998 0.4257
O 0.3539 0.4937 0.0776
O 0.1394 0.6451 0.0776
O 0.5063 0.8603 0.0778
O 0.3516 0.8582 0.5783
O 0.5055 0.6473 0.5792
O 0.1413 0.4946 0.5789
O 0.3171 0.8365 0.2545
O 0.5196 0.6829 0.2545
O 0.1633 0.4804 0.2546
O 0.3134 0.4874 0.7592
O 0.1672 0.6836 0.7592
O 0.5204 0.8324 0.7612

**Energy with MP2020 corrections**: -0.525 Ry per atom

VASP calculation (PBE-GGA) on UTa2O8 after structural relaxation.

Cell: 6.2619 6.2619 3.9384 Å, 90.00 90.00 120.00°
Element x y z (fractional)
U 0.0000 0.0000 0.0000
Ta 0.3333 0.6667 0.0000
Ta 0.6667 0.3333 0.0000
O 0.3276 0.3276 0.8613
O 0.6724 0.0000 0.8613
O 0.0000 0.6724 0.8613
O 0.3333 0.6667 0.5000
O 0.6667 0.3333 0.5000
O 0.3276 0.0000 0.1387
O 0.0000 0.3276 0.1387
O 0.6724 0.6724 0.1387

**Energy with MP2020 corrections**: -0.717 Ry per atom

Formation enthalpy at 0 K, record by record: -2462 -285 -2859 -844 -3369 -3359 -2822 -2981 meV per atom
Theoretical density, record by record: 2.99 2.26 3.96 10.65 5.07 6.10 3.17 9.04 g cm⁻³
E, record by record: -6.39 -7.52 -7.74 -4.79 -7.76 -7.33 -6.74 -9.26 eV per atom